(1)
The following is a PBE-GGA calculation of an optimized crystal structure of BaSrCaSeO6, from the Materials Project.

Output
E (eV/atom): -6.016
Calculated volume (Å³/cell): 554
Formation energy (meV per atom): -2548
E above lowest polymorph (eV per atom): 0.000
Total energy after the MP2020 corrections (eV per atom): -6.428

CIF file:
```
data_BaSrCaSeO6
_chemical_formula_sum 'Ba4 Sr4 Ca4 Se4 O24'
_symmetry_space_group_name_H-M 'F -4 3 m'
_symmetry_Int_Tables_number 216
_symmetry_space_group_name_Hall 'F -4 2 3'
_cell_length_a 8.214
_cell_length_b 8.214
_cell_length_c 8.214
_cell_angle_alpha 90.00
_cell_angle_beta 90.00
_cell_angle_gamma 90.00
loop_
_atom_site_label
_atom_site_fract_x
_atom_site_fract_y
_atom_site_fract_z
Ba1 0.000 0.000 0.000
Sr1 0.000 0.000 0.500
Ca1 0.250 0.250 0.250
Se1 0.250 0.250 0.750
O1 0.026 0.250 0.750
```

=====

(2)
The following is a PBE-GGA calculation of an optimized crystal structure of BaSrCaSeO6, from the Materials Project.

Output
E (eV/atom): -5.873
Calculated volume (Å³/cell): 584
Formation energy (meV per atom): -2406
E above lowest polymorph (eV per atom): 0.142
Total energy after the MP2020 corrections (eV per atom): -6.286

CIF file:
```
data_BaSrCaSeO6
_chemical_formula_sum 'Ba4 Sr4 Ca4 Se4 O24'
_symmetry_space_group_name_H-M 'F -4 3 m'
_symmetry_Int_Tables_number 216
_symmetry_space_group_name_Hall 'F -4 2 3'
_cell_length_a 8.359
_cell_length_b 8.359
_cell_length_c 8.359
_cell_angle_alpha 90.00
_cell_angle_beta 90.00
_cell_angle_gamma 90.00
loop_
_atom_site_label
_atom_site_fract_x
_atom_site_fract_y
_atom_site_fract_z
Ba1 0.000 0.000 0.000
Sr1 0.250 0.250 0.750
Ca1 0.000 0.000 0.500
Se1 0.250 0.250 0.250
O1 0.032 0.250 0.250
```

=====

(3)
The following is a PBE-GGA calculation of an optimized crystal structure of Ba2Ca2Tl2Sn3O10, from the Materials Project.

Output
E (eV/atom): -5.696
Calculated volume (Å³/cell): 337
Formation energy (meV per atom): -2158
Total energy after the MP2020 corrections (eV per atom): -6.057

CIF file:
```
data_Ba2Ca2Tl2Sn3O10
_chemical_formula_sum 'Ba2 Ca2 Tl2 Sn3 O10'
_symmetry_space_group_name_H-M 'P 1'
_symmetry_Int_Tables_number 1
_symmetry_space_group_name_Hall 'P 1'
_cell_length_a 4.036
_cell_length_b 4.056
_cell_length_c 20.773
_cell_angle_alpha 95.40
_cell_angle_beta 95.16
_cell_angle_gamma 90.03
loop_
_atom_site_label
_atom_site_fract_x
_atom_site_fract_y
_atom_site_fract_z
Ba1 0.000 0.000 0.000
Ba2 0.308 0.306 0.642
Ca1 0.092 0.116 0.238
Ca2 0.193 0.199 0.423
Tl1 0.339 0.432 0.872
Tl2 0.829 0.880 0.774
Sn1 0.540 0.568 0.135
Sn2 0.649 0.665 0.347
Sn3 0.737 0.742 0.512
O1 0.054 0.583 0.166
O2 0.129 0.648 0.311
O3 0.223 0.729 0.485
O4 0.290 0.373 0.756
O5 0.502 0.521 0.039
O6 0.552 0.083 0.166
O7 0.623 0.149 0.312
O8 0.680 0.945 0.893
O9 0.722 0.229 0.486
O10 0.789 0.788 0.608
```

=====

(4)
The following is a PBE-GGA calculation of an optimized crystal structure of Ba2Ca3Tl2Sn4O12, from the Materials Project.

Output
E (eV/atom): -5.666
Calculated volume (Å³/cell): 825
Formation energy (meV per atom): -2111
Total energy after the MP2020 corrections (eV per atom): -6.024

CIF file:
```
data_Ba2Ca3Tl2Sn4O12
_chemical_formula_sum 'Ba4 Ca6 Tl4 Sn8 O24'
_symmetry_space_group_name_H-M 'I 4/m m m'
_symmetry_Int_Tables_number 139
_symmetry_space_group_name_Hall '-I 4 2'
_cell_length_a 4.199
_cell_length_b 4.199
_cell_length_c 46.810
_cell_angle_alpha 90.00
_cell_angle_beta 90.00
_cell_angle_gamma 90.00
loop_
_atom_site_label
_atom_site_fract_x
_atom_site_fract_y
_atom_site_fract_z
Ba1 0.000 0.000 0.172
Ca1 0.000 0.000 0.000
Ca2 0.000 0.000 0.078
Tl1 0.000 0.000 0.273
Sn1 0.000 0.000 0.385
Sn2 0.000 0.000 0.468
O1 0.000 0.000 0.223
O2 0.000 0.000 0.342
O3 0.000 0.500 0.036
O4 0.000 0.500 0.103
```

=====

(5)
The following is a PBE-GGA calculation of an optimized crystal structure of BaCaZrSnO6, from the Materials Project.

Output
E (eV/atom): -7.270
Calculated volume (Å³/cell): 579
Formation energy (meV per atom): -3065
Total energy after the MP2020 corrections (eV per atom): -7.682

CIF file:
```
data_BaCaZrSnO6
_chemical_formula_sum 'Ba4 Ca4 Zr4 Sn4 O24'
_symmetry_space_group_name_H-M 'F -4 3 m'
_symmetry_Int_Tables_number 216
_symmetry_space_group_name_Hall 'F -4 2 3'
_cell_length_a 8.337
_cell_length_b 8.337
_cell_length_c 8.337
_cell_angle_alpha 90.00
_cell_angle_beta 90.00
_cell_angle_gamma 90.00
loop_
_atom_site_label
_atom_site_fract_x
_atom_site_fract_y
_atom_site_fract_z
Ba1 0.000 0.000 0.000
Ca1 0.000 0.000 0.500
Zr1 0.250 0.250 0.750
Sn1 0.250 0.250 0.250
O1 0.002 0.250 0.250
```

=====

(6)
The following is a PBE-GGA calculation of an optimized crystal structure of BaCaTbTiO6, from the Materials Project.

Output
E (eV/atom): -7.447
Calculated volume (Å³/cell): 591
Formation energy (meV per atom): -3245
Total energy after the MP2020 corrections (eV per atom): -7.859

CIF file:
```
data_BaCaTbTiO6
_chemical_formula_sum 'Ba4 Ca4 Tb4 Ti4 O24'
_symmetry_space_group_name_H-M 'F -4 3 m'
_symmetry_Int_Tables_number 216
_symmetry_space_group_name_Hall 'F -4 2 3'
_cell_length_a 8.390
_cell_length_b 8.390
_cell_length_c 8.390
_cell_angle_alpha 90.00
_cell_angle_beta 90.00
_cell_angle_gamma 90.00
loop_
_atom_site_label
_atom_site_fract_x
_atom_site_fract_y
_atom_site_fract_z
Ba1 0.000 0.000 0.000
Ca1 0.000 0.000 0.500
Tb1 0.250 0.250 0.750
Ti1 0.250 0.250 0.250
O1 0.016 0.250 0.250
```

=====

(7)
The following is a PBE-GGA calculation of an optimized crystal structure of BaCaTi4O8, from the Materials Project.

Output
E (eV/atom): -8.134
Calculated volume (Å³/cell): 209
Formation energy (meV per atom): -3163
Total energy after the MP2020 corrections (eV per atom): -8.526

CIF file:
```
data_BaCaTi4O8
_chemical_formula_sum 'Ba1 Ca1 Ti4 O8'
_symmetry_space_group_name_H-M 'P -3 1 m'
_symmetry_Int_Tables_number 162
_symmetry_space_group_name_Hall '-P 3 2'
_cell_length_a 5.5576
_cell_length_b 5.5576
_cell_length_c 7.8076
_cell_angle_alpha 90.00
_cell_angle_beta 90.00
_cell_angle_gamma 120.00
loop_
_atom_site_label
_atom_site_fract_x
_atom_site_fract_y
_atom_site_fract_z
Ba1 0.0000 0.0000 0.0000
Ca1 0.0000 0.0000 0.5000
Ti1 0.3333 0.6667 0.2406
O1 0.0000 0.3311 0.3058
O2 0.3333 0.6667 0.0000
```

=====

(8)
The following is a PBE-GGA calculation of an optimized crystal structure of Ba4CaTi5O15, from the Materials Project.

Output
E (eV/atom): -8.000
Calculated volume (Å³/cell): 322
Formation energy (meV per atom): -3477
Total energy after the MP2020 corrections (eV per atom): -8.412

CIF file:
```
data_Ba4CaTi5O15
_chemical_formula_sum 'Ba4 Ca1 Ti5 O15'
_symmetry_space_group_name_H-M 'P 4/m m m'
_symmetry_Int_Tables_number 123
_symmetry_space_group_name_Hall '-P 4 2'
_cell_length_a 4.009
_cell_length_b 4.009
_cell_length_c 20.038
_cell_angle_alpha 90.00
_cell_angle_beta 90.00
_cell_angle_gamma 90.00
loop_
_atom_site_label
_atom_site_fract_x
_atom_site_fract_y
_atom_site_fract_z
Ba1 0.000 0.000 0.100
Ba2 0.000 0.000 0.302
Ca1 0.000 0.000 0.500
Ti1 0.500 0.500 0.000
Ti2 0.500 0.500 0.201
Ti3 0.500 0.500 0.404
O1 0.000 0.500 0.000
O2 0.000 0.500 0.200
O3 0.000 0.500 0.407
O4 0.500 0.500 0.100
O5 0.500 0.500 0.302
O6 0.500 0.500 0.500
```

=====

(9)
The following is a PBE-GGA calculation of an optimized crystal structure of Ba2Ca3Ti4Tl2O12, from the Materials Project.

Output
E (eV/atom): -7.070
Calculated volume (Å³/cell): 710
Formation energy (meV per atom): -2840
Total energy after the MP2020 corrections (eV per atom): -7.428

CIF file:
```
data_Ba2Ca3Ti4Tl2O12
_chemical_formula_sum 'Ba4 Ca6 Ti8 Tl4 O24'
_symmetry_space_group_name_H-M 'I 4/m m m'
_symmetry_Int_Tables_number 139
_symmetry_space_group_name_Hall '-I 4 2'
_cell_length_a 3.930
_cell_length_b 3.930
_cell_length_c 45.956
_cell_angle_alpha 90.00
_cell_angle_beta 90.00
_cell_angle_gamma 90.00
loop_
_atom_site_label
_atom_site_fract_x
_atom_site_fract_y
_atom_site_fract_z
Ba1 0.000 0.000 0.173
Ca1 0.000 0.000 0.000
Ca2 0.000 0.000 0.075
Ti1 0.000 0.000 0.386
Ti2 0.000 0.000 0.469
Tl1 0.000 0.000 0.275
O1 0.000 0.000 0.225
O2 0.000 0.000 0.347
O3 0.000 0.500 0.035
O4 0.000 0.500 0.105
```

=====

(10)
The following is a PBE-GGA calculation of an optimized crystal structure of Ba2CaUO6, from the Materials Project.

Output
E (eV/atom): -7.821
Calculated volume (Å³/cell): 337
Formation energy (meV per atom): -3550
Total energy after the MP2020 corrections (eV per atom): -8.233

CIF file:
```
data_Ba2CaUO6
_chemical_formula_sum 'Ba4 Ca2 U2 O12'
_symmetry_space_group_name_H-M 'P 1 21/c 1'
_symmetry_Int_Tables_number 14
_symmetry_space_group_name_Hall '-P 2ybc'
_cell_length_a 6.228
_cell_length_b 6.191
_cell_length_c 10.720
_cell_angle_alpha 90.00
_cell_angle_beta 125.35
_cell_angle_gamma 90.00
loop_
_atom_site_label
_atom_site_fract_x
_atom_site_fract_y
_atom_site_fract_z
Ba1 0.245 0.015 0.250
Ca1 0.500 0.000 0.000
U1 0.000 0.000 0.500
O1 0.175 0.243 0.961
O2 0.219 0.716 0.964
O3 0.304 0.012 0.735
```

=====

(11)
The following is a PBE-GGA calculation of an optimized crystal structure of BaCa2Y6O12, from the Materials Project.

Output
E (eV/atom): -8.260
Calculated volume (Å³/cell): 315
Formation energy (meV per atom): -3695
Total energy after the MP2020 corrections (eV per atom): -8.652

CIF file:
```
data_BaCa2Y6O12
_chemical_formula_sum 'Ba1 Ca2 Y6 O12'
_symmetry_space_group_name_H-M 'P -6'
_symmetry_Int_Tables_number 174
_symmetry_space_group_name_Hall 'P -6'
_cell_length_a 10.3227
_cell_length_b 10.3227
_cell_length_c 3.4100
_cell_angle_alpha 90.00
_cell_angle_beta 90.00
_cell_angle_gamma 120.00
loop_
_atom_site_label
_atom_site_fract_x
_atom_site_fract_y
_atom_site_fract_z
Ba1 0.0000 0.0000 0.0000
Ca1 0.3333 0.6667 0.0000
Ca2 0.6667 0.3333 0.5000
Y1 0.0012 0.6517 0.0000
Y2 0.3468 0.0010 0.5000
O1 0.1105 0.3036 0.0000
O2 0.1325 0.6049 0.5000
O3 0.2812 0.1821 0.5000
O4 0.5285 0.1363 0.0000
```

=====

(12)
The following is a PBE-GGA calculation of an optimized crystal structure of Ba4CaZr5O15, from the Materials Project.

Output
E (eV/atom): -8.258
Calculated volume (Å³/cell): 379
Formation energy (meV per atom): -3604
E above lowest polymorph (eV per atom): 0.013
Total energy after the MP2020 corrections (eV per atom): -8.670

CIF file:
```
data_Ba4CaZr5O15
_chemical_formula_sum 'Ba4 Ca1 Zr5 O15'
_symmetry_space_group_name_H-M 'P 4/m'
_symmetry_Int_Tables_number 83
_symmetry_space_group_name_Hall '-P 4'
_cell_length_a 9.466
_cell_length_b 9.466
_cell_length_c 4.235
_cell_angle_alpha 90.00
_cell_angle_beta 90.00
_cell_angle_gamma 90.00
loop_
_atom_site_label
_atom_site_fract_x
_atom_site_fract_y
_atom_site_fract_z
Ba1 0.100 0.700 0.000
Ca1 0.500 0.500 0.000
Zr1 0.000 0.000 0.500
Zr2 0.201 0.400 0.500
O1 0.000 0.000 0.000
O2 0.000 0.500 0.500
O3 0.100 0.200 0.500
O4 0.201 0.400 0.000
O5 0.302 0.599 0.500
```

=====

(13)
The following is a PBE-GGA calculation of an optimized crystal structure of Ba4CaZr5O15, from the Materials Project.

Output
E (eV/atom): -8.271
Calculated volume (Å³/cell): 1510
Formation energy (meV per atom): -3618
E above lowest polymorph (eV per atom): 0.000
Total energy after the MP2020 corrections (eV per atom): -8.683

CIF file:
```
data_Ba4CaZr5O15
_chemical_formula_sum 'Ba16 Ca4 Zr20 O60'
_symmetry_space_group_name_H-M 'I -4 2 m'
_symmetry_Int_Tables_number 121
_symmetry_space_group_name_Hall 'I -4 2'
_cell_length_a 5.962
_cell_length_b 5.962
_cell_length_c 42.494
_cell_angle_alpha 90.00
_cell_angle_beta 90.00
_cell_angle_gamma 90.00
loop_
_atom_site_label
_atom_site_fract_x
_atom_site_fract_y
_atom_site_fract_z
Ba1 0.000 0.000 0.000
Ba2 0.000 0.000 0.100
Ba3 0.000 0.000 0.201
Ba4 0.000 0.000 0.399
Ba5 0.000 0.000 0.500
Ca1 0.000 0.000 0.301
Zr1 0.000 0.500 0.050
Zr2 0.000 0.500 0.151
Zr3 0.000 0.500 0.250
O1 0.000 0.500 0.000
O2 0.000 0.500 0.101
O3 0.000 0.500 0.201
O4 0.201 0.201 0.746
O5 0.211 0.211 0.346
O6 0.218 0.218 0.150
O7 0.228 0.228 0.550
O8 0.228 0.228 0.950
```

=====

(14)
The following is a PBE-GGA calculation of an optimized crystal structure of Ba4CaZr5O15, from the Materials Project.

Output
E (eV/atom): -8.260
Calculated volume (Å³/cell): 381
Formation energy (meV per atom): -3606
E above lowest polymorph (eV per atom): 0.011
Total energy after the MP2020 corrections (eV per atom): -8.672

CIF file:
```
data_Ba4CaZr5O15
_chemical_formula_sum 'Ba4 Ca1 Zr5 O15'
_symmetry_space_group_name_H-M 'P 4/m m m'
_symmetry_Int_Tables_number 123
_symmetry_space_group_name_Hall '-P 4 2'
_cell_length_a 4.238
_cell_length_b 4.238
_cell_length_c 21.198
_cell_angle_alpha 90.00
_cell_angle_beta 90.00
_cell_angle_gamma 90.00
loop_
_atom_site_label
_atom_site_fract_x
_atom_site_fract_y
_atom_site_fract_z
Ba1 0.000 0.000 0.100
Ba2 0.000 0.000 0.301
Ca1 0.000 0.000 0.500
Zr1 0.500 0.500 0.000
Zr2 0.500 0.500 0.201
Zr3 0.500 0.500 0.403
O1 0.000 0.500 0.000
O2 0.000 0.500 0.200
O3 0.000 0.500 0.404
O4 0.500 0.500 0.100
O5 0.500 0.500 0.301
O6 0.500 0.500 0.500
```

=====

(15)
The following is a PBE-GGA calculation of an optimized crystal structure of Ba4CaZr5O15, from the Materials Project.

Output
E (eV/atom): -8.254
Calculated volume (Å³/cell): 759
Formation energy (meV per atom): -3601
E above lowest polymorph (eV per atom): 0.017
Total energy after the MP2020 corrections (eV per atom): -8.666

CIF file:
```
data_Ba4CaZr5O15
_chemical_formula_sum 'Ba8 Ca2 Zr10 O30'
_symmetry_space_group_name_H-M 'C m m m'
_symmetry_Int_Tables_number 65
_symmetry_space_group_name_Hall '-C 2 2'
_cell_length_a 5.988
_cell_length_b 29.933
_cell_length_c 4.234
_cell_angle_alpha 90.00
_cell_angle_beta 90.00
_cell_angle_gamma 90.00
loop_
_atom_site_label
_atom_site_fract_x
_atom_site_fract_y
_atom_site_fract_z
Ba1 0.000 0.100 0.000
Ba2 0.000 0.300 0.000
Ca1 0.000 0.500 0.000
Zr1 0.000 0.000 0.500
Zr2 0.000 0.200 0.500
Zr3 0.000 0.401 0.500
O1 0.000 0.000 0.000
O2 0.000 0.200 0.000
O3 0.000 0.401 0.000
O4 0.248 0.451 0.500
O5 0.250 0.150 0.500
O6 0.250 0.250 0.500
```